1.
An optimized crystal structure of BaBe13, computed with r2SCAN.

Output
* space-group type: Fm-3c, No. 226
* VASP energy: -164.5 eV per cell
* total magnetization: 0.00 μB per cell

abc: 7.527 7.527 7.527
angles: 60.00 60.00 60.00
Element x y z (fractional)
Be (0.218, 0.782, 0.433)
Be (0.281, 0.067, 0.719)
Be (0.567, 0.433, 0.781)
Be (0.433, 0.781, 0.567)
Be (0.782, 0.218, 0.567)
Be (0.567, 0.219, 0.433)
Be (0.281, 0.933, 0.067)
Be (0.933, 0.067, 0.281)
Be (0.933, 0.719, 0.067)
Be (0.567, 0.781, 0.219)
Be (0.719, 0.067, 0.933)
Be (0.067, 0.933, 0.719)
Be (0.000, 0.000, 0.000)
Be (0.781, 0.433, 0.219)
Be (0.433, 0.567, 0.219)
Be (0.718, 0.282, 0.067)
Ba (0.250, 0.250, 0.250)
Ba (0.750, 0.750, 0.750)
Be (0.500, 0.500, 0.500)
Be (0.781, 0.567, 0.433)
Be (0.282, 0.718, 0.933)
Be (0.067, 0.281, 0.933)
Be (0.067, 0.719, 0.281)
Be (0.433, 0.219, 0.781)
Be (0.219, 0.567, 0.781)
Be (0.933, 0.281, 0.719)
Be (0.219, 0.433, 0.567)
Be (0.719, 0.933, 0.281)


2.
An optimized crystal structure of Yb2CuPd, computed with r2SCAN.

Output
* space-group type: Fm-3m, No. 225
* VASP energy: -109.5 eV per cell
* total magnetization: 0.00 μB per cell

abc: 4.806 4.806 4.806
angles: 60.00 60.00 60.00
Element x y z (fractional)
Yb (0.750, 0.750, 0.750)
Yb (0.250, 0.250, 0.250)
Pd (0.000, 0.000, 0.000)
Cu (0.500, 0.500, 0.500)